Model i:
{"formula": "VPO5", "functional": "GGA+U", "state": "optimized geometry", "sg": "P-1", "lattice": [[-7.0150, 0.0000, 0.0000], [3.1849, 6.7111, 0.0000], [-0.0160, -0.1336, -7.5776]], "species": ["V", "V", "V", "V", "P", "P", "P", "P", "O", "O", "O", "O", "O", "O", "O", "O", "O", "O", "O", "O", "O", "O", "O", "O", "O", "O", "O", "O"], "fractional_positions": [[0.7043, 0.4617, 0.2697], [0.2061, 0.9566, 0.2296], [0.7939, 0.0434, 0.7704], [0.2957, 0.5383, 0.7303], [0.4831, 0.2426, 0.9092], [0.0121, 0.7552, 0.5916], [0.9879, 0.2448, 0.4084], [0.5169, 0.7574, 0.0908], [0.2904, 0.1181, 0.0228], [0.4203, 0.3563, 0.7710], [0.5021, 0.2740, 0.3448], [0.6669, 0.3919, 0.0266], [0.8202, 0.6083, 0.4840], [0.5592, 0.1029, 0.8083], [0.9500, 0.8961, 0.7025], [0.0149, 0.7562, 0.1534], [0.8019, 0.1207, 0.5321], [0.0863, 0.6385, 0.7201], [0.9137, 0.3615, 0.2799], [0.1981, 0.8793, 0.4679], [0.9851, 0.2438, 0.8466], [0.0500, 0.1039, 0.2975], [0.7096, 0.8819, 0.9772], [0.1798, 0.3917, 0.5160], [0.3331, 0.6081, 0.9734], [0.4979, 0.7260, 0.6552], [0.5797, 0.6437, 0.2290], [0.4408, 0.8971, 0.1917]]}



Model ii:
{"formula": "VPO5", "functional": "GGA+U", "state": "optimized geometry", "magnetic_moment_mub_per_atom": 0.000, "sg": "P2_1/c", "lattice": [[-3.1884, -8.0700, 5.8305], [-1.4868, -2.4281, -4.1737], [5.1512, -4.2046, -3.0027]], "species": ["V", "V", "V", "V", "P", "P", "P", "P", "O", "O", "O", "O", "O", "O", "O", "O", "O", "O", "O", "O", "O", "O", "O", "O", "O", "O", "O", "O"], "fractional_positions": [[0.0735, 0.4263, 0.1760], [0.5735, 0.5737, 0.3240], [0.4265, 0.4263, 0.6760], [0.9265, 0.5737, 0.8240], [0.6505, 0.2168, 0.0277], [0.1505, 0.7832, 0.4723], [0.8495, 0.2168, 0.5277], [0.3495, 0.7832, 0.9723], [0.2189, 0.6326, 0.0441], [0.6767, 0.8867, 0.1492], [0.0411, 0.2761, 0.0043], [0.4284, 0.7525, 0.1598], [0.5834, 0.3449, 0.1570], [0.0834, 0.6551, 0.3430], [0.9284, 0.2475, 0.3402], [0.5411, 0.7239, 0.4957], [0.1767, 0.1133, 0.3508], [0.7189, 0.3674, 0.4559], [0.2811, 0.6326, 0.5441], [0.8233, 0.8867, 0.6492], [0.4589, 0.2761, 0.5043], [0.0716, 0.7525, 0.6598], [0.7811, 0.3674, 0.9559], [0.4166, 0.6551, 0.8430], [0.5716, 0.2475, 0.8402], [0.9589, 0.7239, 0.9957], [0.3233, 0.1133, 0.8508], [0.9166, 0.3449, 0.6570]]}



Energies relative to the most stable structure, in meV/atom: model i 0; model ii 54.



Model i:
{"formula": "VPO5", "functional": "GGA+U", "state": "optimized geometry", "magnetic_moment_mub_per_atom": 0.000, "sg": "P2_1/c", "lattice": [[9.0112, 0.0000, 0.0000], [0.0000, 5.1060, 0.0000], [0.0000, 0.1191, 17.7995]], "species": ["V", "V", "V", "V", "V", "V", "V", "V", "P", "P", "P", "P", "P", "P", "P", "P", "O", "O", "O", "O", "O", "O", "O", "O", "O", "O", "O", "O", "O", "O", "O", "O", "O", "O", "O", "O", "O", "O", "O", "O", "O", "O", "O", "O", "O", "O", "O", "O", "O", "O", "O", "O", "O", "O", "O", "O"], "fractional_positions": [[0.6139, 0.4997, 0.8763], [0.0809, 0.9156, 0.8651], [0.5809, 0.0844, 0.6349], [0.1139, 0.5003, 0.6237], [0.8861, 0.4997, 0.3763], [0.4191, 0.9156, 0.3651], [0.9191, 0.0844, 0.1349], [0.3861, 0.5003, 0.1237], [0.7677, 0.9991, 0.9675], [0.4181, 0.0005, 0.8026], [0.9181, 0.9995, 0.6974], [0.2677, 0.0009, 0.5325], [0.7323, 0.9991, 0.4675], [0.0819, 0.0005, 0.3026], [0.5819, 0.9995, 0.1974], [0.2323, 0.0009, 0.0325], [0.2050, 0.0109, 0.9472], [0.6780, 0.7523, 0.9478], [0.6768, 0.2472, 0.9490], [0.9165, 0.0099, 0.9251], [0.0819, 0.6026, 0.8681], [0.4747, 0.7530, 0.8432], [0.4762, 0.2464, 0.8424], [0.7412, 0.5003, 0.8140], [0.2472, 0.0041, 0.8035], [0.9653, 0.0042, 0.7804], [0.4653, 0.9958, 0.7196], [0.7472, 0.9959, 0.6965], [0.2412, 0.4997, 0.6860], [0.9747, 0.2470, 0.6568], [0.9762, 0.7536, 0.6576], [0.5819, 0.3974, 0.6319], [0.4165, 0.9901, 0.5749], [0.1768, 0.7528, 0.5510], [0.1780, 0.2477, 0.5522], [0.7050, 0.9891, 0.5528], [0.2950, 0.0109, 0.4472], [0.8220, 0.7523, 0.4478], [0.8232, 0.2472, 0.4490], [0.5835, 0.0099, 0.4251], [0.4181, 0.6026, 0.3681], [0.0253, 0.7530, 0.3432], [0.0238, 0.2464, 0.3424], [0.7588, 0.5003, 0.3140], [0.2528, 0.0041, 0.3035], [0.5347, 0.0042, 0.2804], [0.0347, 0.9958, 0.2196], [0.7528, 0.9959, 0.1965], [0.2588, 0.4997, 0.1860], [0.5238, 0.7536, 0.1576], [0.5253, 0.2470, 0.1568], [0.9181, 0.3974, 0.1319], [0.0835, 0.9901, 0.0749], [0.3232, 0.7528, 0.0510], [0.3220, 0.2477, 0.0522], [0.7950, 0.9891, 0.0528]]}



Model ii:
{"formula": "VPO5", "functional": "GGA+U", "state": "optimized geometry", "sg": "P4/n", "lattice": [[-6.0828, -0.3188, -0.0907], [0.3033, -4.6804, -3.8875], [0.0987, -2.8681, 3.4608]], "species": ["V", "V", "P", "P", "O", "O", "O", "O", "O", "O", "O", "O", "O", "O"], "fractional_positions": [[0.0000, 0.5000, 0.2145], [0.5000, 0.0000, 0.7855], [0.5000, 0.5000, 0.5000], [0.0000, 0.0000, 0.5000], [0.4474, 0.3010, 0.6997], [0.6990, 0.4474, 0.3003], [0.0000, 0.5000, 0.8563], [0.3010, 0.5526, 0.3003], [0.5526, 0.6990, 0.6997], [0.9474, 0.8010, 0.3003], [0.1990, 0.9474, 0.6997], [0.5000, 0.0000, 0.1437], [0.8010, 0.0526, 0.6997], [0.0526, 0.1990, 0.3003]]}



Energies relative to the most stable structure, in meV/atom: model i 0; model ii 6.



Model i:
{"formula": "MgV12B4O20", "functional": "GGA+U", "state": "optimized geometry", "magnetic_moment_mub_per_atom": 0.919, "sg": "Pm", "lattice": [[3.0370, -0.8372, -0.3838], [-0.4865, -5.4628, 8.0657], [-3.7215, -10.3230, -6.9291]], "species": ["Mg", "V", "V", "V", "V", "V", "V", "V", "V", "V", "V", "V", "V", "B", "B", "B", "B", "O", "O", "O", "O", "O", "O", "O", "O", "O", "O", "O", "O", "O", "O", "O", "O", "O", "O", "O", "O"], "fractional_positions": [[0.5000, 0.2402, 0.7675], [0.5000, 0.0137, 0.2182], [0.5000, 0.9625, 0.7727], [0.5000, 0.5130, 0.7254], [0.5000, 0.5130, 0.2802], [0.5000, 0.9944, 0.4886], [0.5000, 0.5139, 0.0062], [0.0000, 0.2499, 0.3827], [0.0000, 0.7512, 0.6027], [0.0000, 0.2584, 0.9293], [0.0000, 0.7510, 0.1174], [0.0000, 0.9890, 0.9963], [0.0000, 0.4983, 0.4970], [0.0000, 0.2896, 0.1471], [0.0000, 0.7201, 0.8621], [0.0000, 0.2097, 0.6222], [0.0000, 0.7788, 0.3557], [0.0000, 0.3737, 0.0578], [0.0000, 0.6559, 0.9575], [0.0000, 0.1499, 0.5304], [0.0000, 0.8473, 0.4490], [0.0000, 0.1469, 0.1378], [0.0000, 0.8640, 0.8574], [0.0000, 0.3505, 0.6455], [0.0000, 0.6351, 0.3560], [0.5000, 0.1215, 0.3549], [0.5000, 0.8797, 0.6309], [0.5000, 0.3864, 0.8672], [0.5000, 0.6271, 0.1407], [0.0000, 0.3572, 0.2398], [0.0000, 0.6493, 0.7690], [0.0000, 0.1279, 0.7164], [0.0000, 0.8542, 0.2626], [0.5000, 0.3942, 0.4211], [0.5000, 0.5987, 0.5777], [0.5000, 0.1072, 0.9082], [0.5000, 0.8974, 0.0782]]}



Model ii:
{"formula": "MgV12B4O20", "functional": "GGA+U", "state": "optimized geometry", "magnetic_moment_mub_per_atom": 0.909, "sg": "Pm", "lattice": [[2.7544, -1.4910, 0.1641], [-3.2877, -5.2488, 7.4938], [-4.2551, -8.8224, -8.7403]], "species": ["Mg", "V", "V", "V", "V", "V", "V", "V", "V", "V", "V", "V", "V", "B", "B", "B", "B", "O", "O", "O", "O", "O", "O", "O", "O", "O", "O", "O", "O", "O", "O", "O", "O", "O", "O", "O", "O"], "fractional_positions": [[0.5000, 0.4266, 0.0898], [0.5000, 0.9842, 0.2339], [0.5000, 0.0111, 0.7762], [0.5000, 0.4956, 0.7087], [0.5000, 0.5015, 0.2958], [0.5000, 0.9983, 0.5042], [0.5000, 0.5473, 0.9197], [0.0000, 0.2377, 0.3981], [0.0000, 0.7599, 0.6106], [0.0000, 0.2572, 0.8900], [0.0000, 0.7396, 0.1184], [0.0000, 0.9945, 0.0045], [0.0000, 0.4989, 0.5030], [0.0000, 0.2415, 0.1611], [0.0000, 0.7491, 0.8479], [0.0000, 0.2270, 0.6409], [0.0000, 0.7693, 0.3668], [0.0000, 0.3070, 0.0664], [0.0000, 0.6849, 0.9437], [0.0000, 0.1518, 0.5485], [0.0000, 0.8443, 0.4594], [0.0000, 0.1027, 0.1612], [0.0000, 0.8891, 0.8486], [0.0000, 0.3718, 0.6390], [0.0000, 0.6245, 0.3672], [0.5000, 0.1084, 0.3692], [0.5000, 0.8892, 0.6397], [0.5000, 0.3780, 0.8421], [0.5000, 0.6051, 0.1551], [0.0000, 0.3333, 0.2462], [0.0000, 0.6619, 0.7603], [0.0000, 0.1615, 0.7335], [0.0000, 0.8347, 0.2744], [0.5000, 0.3860, 0.4286], [0.5000, 0.6126, 0.5777], [0.5000, 0.1157, 0.9261], [0.5000, 0.8800, 0.0845]]}



Energies relative to the most stable structure, in meV/atom: model i 0; model ii 8.



Model i:
{"formula": "Li3Mn2O5", "functional": "GGA+U", "state": "optimized geometry", "magnetic_moment_mub_per_atom": 0.000, "sg": "P-1", "lattice": [[2.9081, 0.0440, 0.6215], [-0.0420, 12.4538, -2.3652], [0.0548, -0.0128, 5.0828]], "species": ["Li", "Li", "Li", "Li", "Li", "Li", "Mn", "Mn", "Mn", "Mn", "O", "O", "O", "O", "O", "O", "O", "O", "O", "O"], "fractional_positions": [[0.0999, 0.3001, 0.8000], [0.5999, 0.8000, 0.8000], [0.6731, 0.1000, 0.6194], [0.5267, 0.5001, 0.9806], [0.8495, 0.7138, 0.2152], [0.3503, 0.8863, 0.3849], [0.1876, 0.6078, 0.6001], [0.7853, 0.4005, 0.4051], [0.0126, 0.9922, 0.9998], [0.4147, 0.1995, 0.1950], [0.4109, 0.0499, 0.2627], [0.7892, 0.5501, 0.3373], [0.7333, 0.2536, 0.4878], [0.4667, 0.3464, 0.1122], [0.1200, 0.4560, 0.6873], [0.0800, 0.1440, 0.9127], [0.5962, 0.6436, 0.8522], [0.6039, 0.9564, 0.7477], [0.9542, 0.8628, 0.1076], [0.2458, 0.7372, 0.4924]]}



Model ii:
{"formula": "Li3Mn2O5", "functional": "GGA+U", "state": "optimized geometry", "magnetic_moment_mub_per_atom": 0.000, "sg": "P-1", "lattice": [[2.9325, 0.1119, -0.3541], [-0.6523, 5.9157, -0.7693], [-0.0188, -0.0354, 10.4288]], "species": ["Li", "Li", "Li", "Li", "Li", "Li", "Mn", "Mn", "Mn", "Mn", "O", "O", "O", "O", "O", "O", "O", "O", "O", "O"], "fractional_positions": [[0.6000, 0.3000, 0.2000], [0.6001, 0.8000, 0.2000], [0.0039, 0.5160, 0.0190], [0.1960, 0.0842, 0.3809], [0.3962, 0.7040, 0.8023], [0.8039, 0.8961, 0.5976], [0.1833, 0.6048, 0.3903], [0.7905, 0.4024, 0.6003], [0.0164, 0.9951, 0.0097], [0.4095, 0.1974, 0.7998], [0.5285, 0.2185, 0.9953], [0.6715, 0.3815, 0.4047], [0.0942, 0.0488, 0.1863], [0.1060, 0.5512, 0.2137], [0.8646, 0.4404, 0.7954], [0.3354, 0.1595, 0.6047], [0.2512, 0.6382, 0.5891], [0.9488, 0.9618, 0.8109], [0.7082, 0.8191, 0.3987], [0.4919, 0.7809, 0.0013]]}



Model iii:
{"formula": "Li3Mn2O5", "functional": "GGA+U", "state": "optimized geometry", "magnetic_moment_mub_per_atom": 0.868, "sg": "C2/m", "lattice": [[0.4613, -0.5301, -3.0007], [0.9792, -2.6805, -1.1636], [-23.2447, -7.5275, -2.2579]], "species": ["Li", "Li", "Li", "Li", "Li", "Li", "Mn", "Mn", "Mn", "Mn", "O", "O", "O", "O", "O", "O", "O", "O", "O", "O"], "fractional_positions": [[0.6941, 0.6941, 0.5930], [0.3059, 0.3059, 0.4070], [0.8999, 0.8999, 0.2004], [0.5000, 0.5000, 0.0000], [0.1001, 0.1001, 0.7996], [0.0000, 0.0000, 0.5000], [0.3971, 0.3971, 0.6995], [0.6029, 0.6029, 0.3005], [0.2004, 0.2004, 0.1000], [0.7996, 0.7996, 0.9000], [0.0399, 0.0399, 0.6563], [0.6399, 0.6399, 0.4492], [0.2358, 0.2358, 0.2537], [0.8329, 0.8329, 0.0537], [0.4328, 0.4328, 0.8540], [0.3601, 0.3601, 0.5508], [0.9601, 0.9601, 0.3437], [0.5672, 0.5672, 0.1460], [0.1671, 0.1671, 0.9463], [0.7642, 0.7642, 0.7463]]}



Energies relative to the most stable structure, in meV/atom: model i 0; model ii 8; model iii 134.



Model i:
{"formula": "Li3Mn2O5", "functional": "GGA+U", "state": "optimized geometry", "magnetic_moment_mub_per_atom": 0.700, "sg": "C2/m", "lattice": [[2.8605, -0.0001, -0.2951], [1.3771, 4.8635, -0.6603], [-0.0864, -0.4886, 13.1583]], "species": ["Li", "Li", "Li", "Li", "Li", "Li", "Mn", "Mn", "Mn", "Mn", "O", "O", "O", "O", "O", "O", "O", "O", "O", "O"], "fractional_positions": [[0.1000, 0.4998, 0.6999], [0.6000, 0.9999, 0.2000], [0.2981, 0.5173, 0.1138], [0.9018, 0.4827, 0.2862], [0.5113, 0.4635, 0.4858], [0.6888, 0.5365, 0.9141], [0.2135, 0.9580, 0.3845], [0.3900, 0.0252, 0.8064], [0.9863, 0.0422, 0.0154], [0.8098, 0.9748, 0.5936], [0.3513, 0.2604, 0.9633], [0.8487, 0.7397, 0.4367], [0.9460, 0.2486, 0.1413], [0.2539, 0.7514, 0.2587], [0.5799, 0.1937, 0.3531], [0.6199, 0.8064, 0.0470], [0.1751, 0.1914, 0.5409], [0.0252, 0.8086, 0.8591], [0.7558, 0.2446, 0.7560], [0.4446, 0.7552, 0.6440]]}



Model ii:
{"formula": "Li3Mn2O5", "functional": "GGA+U", "state": "optimized geometry", "magnetic_moment_mub_per_atom": 0.000, "sg": "P-1", "lattice": [[0.0220, 4.0471, -3.0776], [-3.0299, -3.0914, -2.9387], [-3.9140, 2.5007, 6.0558]], "species": ["Li", "Li", "Li", "Li", "Li", "Li", "Mn", "Mn", "Mn", "Mn", "O", "O", "O", "O", "O", "O", "O", "O", "O", "O"], "fractional_positions": [[0.5000, 0.6000, 0.7000], [0.0000, 0.6000, 0.2000], [0.5000, 0.1953, 0.9049], [0.5000, 0.0047, 0.4951], [0.5149, 0.8017, 0.1052], [0.4851, 0.3983, 0.2948], [0.9999, 0.2001, 0.3985], [0.9988, 0.7986, 0.5973], [0.0001, 0.9999, 0.0015], [0.0012, 0.4014, 0.8027], [0.2310, 0.8190, 0.8513], [0.7690, 0.3810, 0.5487], [0.2195, 0.3654, 0.0334], [0.7806, 0.8347, 0.3666], [0.2341, 0.2139, 0.6422], [0.7659, 0.9861, 0.7578], [0.2155, 0.5741, 0.4530], [0.7845, 0.6260, 0.9470], [0.2285, 0.0193, 0.2458], [0.7715, 0.1807, 0.1542]]}



Energies relative to the most stable structure, in meV/atom: model i 25; model ii 0.